(1)
Compound: Cu2H3ClO3
Source: Materials Project
Functional: GGA-PBE
Structure: relaxed

E above lowest polymorph   8 meV per atom
E (MP2020)   -4.89 eV per atom
Total moment   1.00 μB/f.u.
Formation energy from the elements   -995 meV/atom
Calculated total energy   -167.84 eV per cell

The structure in POSCAR format:
```
Cu2H3ClO3
1.0
6.0821 0.0000 0.0000
0.0000 6.9531 0.0000
0.0000 0.0000 9.1865
Cu H Cl O
8 12 4 12
Cartesian
0.0000 0.0000 0.0000
0.0000 3.4765 0.0000
1.1236 1.7383 2.3607
1.9175 5.2148 6.9540
3.0411 0.0000 4.5932
3.0411 3.4765 4.5932
4.1646 1.7383 2.2325
4.9586 5.2148 6.8258
0.4869 0.3309 6.6836
0.4869 3.1456 6.6836
1.2583 5.2148 4.1664
1.7828 1.7383 8.7596
2.5542 3.8075 2.0904
2.5542 6.6221 2.0904
3.5280 0.3309 7.0961
3.5280 3.1456 7.0961
4.2994 5.2148 0.4269
4.8238 1.7383 5.0201
5.5952 3.8075 2.5029
5.5952 6.6221 2.5029
0.7936 1.7383 5.2224
2.2474 5.2148 0.6292
3.8347 1.7383 8.5573
5.2885 5.2148 3.9641
0.4045 3.9342 7.2910
0.4045 6.4954 7.2910
0.8846 1.7383 9.1804
2.1564 5.2148 4.5871
2.6366 0.4577 2.6977
2.6366 3.0188 2.6977
3.4455 3.9342 6.4888
3.4455 6.4954 6.4888
3.9257 1.7383 4.5994
5.1975 5.2148 0.0061
5.6776 0.4577 1.8955
5.6776 3.0188 1.8955
```

(2)
Compound: CeInCu
Source: Materials Project
Functional: GGA-PBE
Structure: relaxed

Total moment   1.21 μB/f.u.
Formation energy from the elements   -244 meV/atom
Calculated total energy   -27.03 eV per cell

The structure in POSCAR format:
```
CeInCu
1.0
4.7691 0.0000 0.0000
-2.3845 4.1301 0.0000
0.0000 0.0000 6.9629
Ce In Cu
2 2 2
Cartesian
0.0000 0.0000 0.0000
0.0000 0.0000 3.4814
0.0000 2.7534 1.7407
2.3845 1.3767 5.2221
0.0000 2.7534 5.2221
2.3845 1.3767 1.7407
```

(3)
Compound: Li3Cu2O4
Source: Materials Project
Functional: GGA-PBE
Structure: relaxed

E above lowest polymorph   2 meV per atom
E (MP2020)   -5.33 eV per atom
Formation energy from the elements   -1583 meV/atom
Calculated total energy   -45.21 eV per cell

The structure in POSCAR format:
```
Li3Cu2O4
1.0
5.0063 -1.3972 0.0000
5.0063 1.3972 0.0000
-3.3869 0.0000 6.4366
Li Cu O
3 2 4
Cartesian
0.0000 0.0000 0.0000
1.4923 0.0000 4.0426
5.1333 0.0000 2.3940
-1.0174 0.0000 4.9509
7.6430 0.0000 1.4857
1.4790 0.0000 2.0641
3.8297 0.0000 0.9995
2.7959 0.0000 5.4371
5.1466 0.0000 4.3726
```

(4)
Compound: CaH2C2O4
Source: Materials Project
Functional: GGA-PBE
Structure: relaxed

E above lowest polymorph   6 meV per atom
E (MP2020)   -7.01 eV per atom
Total moment   0.00 μB/f.u.
Formation energy from the elements   -1786 meV/atom
Calculated total energy   -241.47 eV per cell

The structure in POSCAR format:
```
CaH2C2O4
1.0
6.8838 0.0000 0.0000
0.0000 6.8838 0.0000
0.0000 0.0000 9.4994
Ca H C O
4 8 8 16
Cartesian
1.4709 1.4709 0.0000
1.9710 4.9128 7.1246
4.9128 1.9710 2.3749
5.4129 5.4129 4.7497
0.8945 4.6227 1.6576
1.1808 2.5474 4.0325
2.2610 5.9893 3.0921
2.5474 1.1808 5.4669
4.3364 5.7029 0.7172
4.6227 0.8945 7.8418
5.7029 4.3364 8.7822
5.9893 2.2610 6.4073
1.3054 4.8441 0.6517
1.4022 2.1365 3.0266
2.0396 5.5784 4.0980
2.1365 1.4022 6.4729
4.7472 5.4815 1.7232
4.8441 1.3054 8.8477
5.4815 4.7472 7.7763
5.5784 2.0396 5.4014
0.4200 1.9084 2.2470
0.8364 5.3769 4.4180
1.5069 6.0474 0.3317
1.5335 3.8619 9.3715
1.9084 0.4200 7.2525
1.9350 2.6055 6.7928
2.6055 1.9350 2.7066
3.0218 5.3502 4.8776
3.8619 1.5335 0.1279
4.2783 4.9487 7.4563
4.9487 4.2783 2.0431
4.9754 6.4637 2.5028
5.3502 3.0218 4.6218
5.3769 0.8364 5.0814
6.0474 1.5069 9.1677
6.4637 4.9754 6.9967
```

(5)
Compound: Nd2Si3Rh
Source: Materials Project
Functional: GGA-PBE
Structure: relaxed

Total moment   0.00 μB/f.u.
Formation energy from the elements   -903 meV/atom
Calculated total energy   -154.39 eV per cell

The structure in POSCAR format:
```
Nd2Si3Rh
1.0
8.2776 0.0000 0.0000
-4.1388 7.1686 0.0000
0.0000 0.0000 8.3358
Nd Si Rh
8 12 4
Cartesian
0.0000 0.0000 2.0840
0.0000 0.0000 6.2519
-2.0015 3.6235 2.0840
2.0015 3.6235 2.0840
0.0000 7.0902 2.0840
4.1388 0.0784 6.2519
2.1373 3.5451 6.2519
6.1403 3.5451 6.2519
0.0000 2.3910 0.0204
0.0000 2.3910 4.1475
-2.0681 5.9731 0.0204
-2.0681 5.9731 4.1475
2.0707 1.1955 4.1883
2.0707 1.1955 8.3154
2.0681 5.9731 0.0204
2.0681 5.9731 4.1475
6.2069 1.1955 4.1883
6.2069 1.1955 8.3154
4.1388 4.7776 4.1883
4.1388 4.7776 8.3154
0.0000 4.7791 4.3684
0.0000 4.7791 8.1353
4.1388 2.3895 0.2005
4.1388 2.3895 3.9674
```

(6)
Compound: Pu2O3
Source: Materials Project
Functional: GGA-PBE
Structure: relaxed

E (MP2020)   -12.08 eV per atom
Total moment   10.00 μB/f.u.
Formation energy from the elements   -3402 meV/atom
Calculated total energy   -58.33 eV per cell

The structure in POSCAR format:
```
Pu2O3
1.0
3.7613 0.0000 0.0000
-1.8806 3.2574 0.0000
0.0000 0.0000 5.9727
Pu O
2 3
Cartesian
0.0000 2.1716 1.4552
1.8806 1.0858 4.5175
0.0000 0.0000 0.0000
0.0000 2.1716 3.8315
1.8806 1.0858 2.1412
```

(7)
Compound: TmSI
Source: Materials Project
Functional: GGA-PBE
Structure: relaxed

E (MP2020)   -5.07 eV per atom
Total moment   0.00 μB/f.u.
Formation energy from the elements   -1695 meV/atom
Calculated total energy   -14.34 eV per cell

The structure in POSCAR format:
```
TmSI
1.0
4.4741 0.0000 0.0000
-2.2371 3.8747 0.0000
0.0000 0.0000 5.1105
Tm S I
1 1 1
Cartesian
0.0000 0.0000 0.0000
2.2371 1.2916 0.0000
0.0000 2.5831 2.5553
```

(8)
Compound: Na14Ca5Zr3P12O48
Source: Materials Project
Functional: GGA-PBE
Structure: relaxed

E (MP2020)   -7.29 eV per atom
Total moment   0.00 μB/f.u.
Formation energy from the elements   -2937 meV/atom
Calculated total energy   -1693.43 eV per cell

The structure in POSCAR format:
```
Na14Ca5Zr3P12O48
1.0
9.3469 0.0000 0.0000
0.0490 16.1967 0.0000
0.0227 0.0054 22.7404
Na Ca Zr P O
42 15 9 36 144
Cartesian
0.0000 0.0000 0.0000
9.3919 11.2155 15.0359
0.0736 5.3692 15.1534
1.1755 2.6047 18.9164
1.2421 13.3052 3.6565
1.2245 3.1245 3.6851
1.2697 8.0281 11.3752
1.4303 8.4333 18.9297
1.4562 13.8279 11.4066
1.7915 8.1566 3.6717
2.8344 10.8955 5.5778
2.9215 11.0264 16.9503
2.9588 16.1891 20.7897
2.9623 0.3529 9.4860
2.9766 5.4913 1.8990
3.0044 5.2002 13.2682
4.1558 8.1687 15.0378
4.3269 13.4913 7.5838
4.3413 2.7043 22.7231
4.5824 13.7892 22.7258
4.5836 8.5024 7.5881
4.7163 8.0959 22.7363
4.7712 13.3064 15.0247
5.8668 10.6886 18.9439
5.9136 16.1480 11.3234
5.8900 5.2055 3.6632
5.9212 11.2203 3.6753
6.0730 0.3327 18.9559
6.0912 5.7503 11.3168
6.2591 10.8062 11.3577
6.4412 0.0624 3.6703
7.4155 2.9737 17.0456
7.4784 2.8035 5.5745
7.6141 8.0830 20.8019
7.6810 13.5893 13.2413
7.6753 13.5922 1.9017
7.7118 8.3179 9.4065
8.9082 0.0188 15.1476
8.9829 5.3863 7.5546
9.0227 10.7900 0.0045
9.2377 5.6895 22.7231
9.2426 0.4151 7.5730
2.9068 10.9000 8.9843
2.9555 10.9633 20.3443
2.9256 0.1673 12.7634
2.9880 10.8932 13.4701
2.9819 10.9042 2.0998
2.9595 0.1093 1.4246
3.0045 5.4548 5.2603
3.0617 5.4284 16.5410
7.6100 2.8039 8.9609
7.6162 2.8676 20.3636
7.6304 2.8054 2.1021
7.6562 8.2051 1.4255
7.6619 8.2110 12.7842
7.7012 13.5578 5.2512
7.7267 13.5930 16.6093
2.9540 0.1291 17.2928
2.9832 5.3849 9.7106
2.9837 0.1428 5.9654
3.0384 5.4888 21.0001
7.6474 8.1286 17.3179
7.6358 2.7960 13.5205
7.6827 13.5935 9.6567
7.6762 8.2365 5.9781
7.7312 13.6019 20.9849
0.0956 10.9642 11.2726
0.1616 0.1240 3.6791
0.1927 5.5498 18.7408
1.1248 8.2289 15.0519
1.1822 13.6914 7.3949
1.2072 2.8657 22.5357
1.4725 2.5081 15.0451
1.5145 13.3864 22.6398
1.5350 7.8609 7.4316
1.6084 8.3435 22.5408
1.5876 3.0154 7.3723
1.6570 13.8801 14.9839
4.3426 2.9829 18.8016
4.3673 8.3517 11.1603
4.3768 13.8611 3.6813
4.3803 2.5130 3.6201
4.4367 7.9285 18.7379
4.4912 13.3743 11.1760
4.8699 13.6701 18.7242
4.8597 8.2227 3.6827
4.8765 2.8501 11.2209
5.7621 0.1543 14.9783
5.8170 5.5763 7.3992
5.9063 10.9639 22.5273
6.1655 5.2916 22.6440
6.2300 16.0105 7.3710
6.2437 10.5996 15.0451
6.2568 0.2457 22.5408
6.2760 11.1235 7.4093
6.3076 5.7403 14.9314
8.9747 0.3119 11.1722
9.0311 11.0631 18.7291
9.0266 5.7663 3.6843
9.0755 10.6060 3.6260
9.1630 16.0599 18.7500
9.1380 5.1943 11.2067
0.0796 8.1184 22.6176
0.0984 8.2456 16.2777
0.0781 2.8263 7.5523
0.1253 13.7199 15.1092
0.1541 13.8172 8.6095
0.3142 8.1141 13.7536
0.3183 2.6705 21.3063
0.3515 3.1192 1.0740
0.4113 13.5469 6.0947
0.8259 11.2339 12.6075
0.9544 0.0360 2.3719
0.9947 5.4394 17.4539
1.0811 10.7288 10.1467
1.1620 16.1895 11.3248
1.1683 10.7592 18.8895
1.1868 0.1468 4.8989
1.2179 5.7077 19.9471
1.2127 5.5885 3.7472
1.2653 10.6314 3.7561
1.3823 16.1684 18.7273
1.3631 5.2964 11.1583
1.6048 12.6005 1.2304
1.8045 3.7636 6.0656
1.8252 1.6573 16.3437
1.8916 9.2114 21.3124
1.8919 6.8715 8.6314
1.9173 9.5501 15.1429
1.9437 14.5671 13.6524
1.9373 3.9600 15.1236
1.9750 15.0624 7.4201
2.0615 14.8316 22.6675
2.0195 1.8140 13.8272
2.0458 6.9980 15.1257
2.0442 7.2563 6.1300
2.1042 4.1657 22.3758
2.1556 1.6480 22.6197
2.1781 12.5480 7.5480
2.1730 9.2315 7.6029
2.2147 12.6426 21.5171
2.2202 14.8297 16.1396
2.2175 8.9415 1.0772
2.2211 3.8427 8.5612
2.2861 6.9165 22.3859
2.2717 1.6044 7.3887
2.3842 12.5300 15.1318
3.5420 1.6107 18.7702
3.6392 12.5052 3.7716
3.6759 6.9314 10.9837
3.7375 8.9450 12.4411
3.7677 3.7367 20.0757
3.7714 3.9249 3.7195
3.8519 14.7346 4.9085
3.8648 7.3276 17.4685
3.8699 9.3490 18.9062
3.8470 1.5825 4.7961
3.8903 12.6863 9.9504
3.9158 14.8051 11.2479
3.9212 1.9104 2.2903
3.9396 6.9836 3.7507
3.9982 12.4404 18.9194
3.9792 1.6359 11.3881
4.0566 15.0228 18.7015
4.0385 3.7944 17.5695
4.0462 9.5346 3.7777
4.0598 7.0172 19.9759
4.0668 14.6049 2.3782
4.0608 4.1976 11.1624
4.1056 9.2296 9.9355
4.3034 12.5262 12.4573
4.6024 5.4107 22.3926
4.6542 16.0478 7.3909
4.7054 10.6538 15.1480
4.7293 0.0161 22.6165
4.7644 10.9215 7.5753
4.7846 5.6563 8.6055
4.7949 0.3026 16.2297
4.8081 5.6061 15.0916
5.0011 16.1487 13.7100
5.0098 10.7663 21.3022
5.0576 11.2280 1.0674
5.0661 5.4482 6.0860
5.6627 13.5158 17.4308
5.6517 8.1366 2.3746
5.7128 2.6760 9.9777
5.8298 2.6629 18.9076
5.9068 13.8519 19.9223
5.8852 3.0516 12.4435
5.8995 8.1349 11.2430
5.8890 8.2466 4.9021
5.9098 13.6753 3.7433
5.9173 2.5360 3.7513
6.0073 8.0274 18.7091
6.0684 13.4893 11.0131
6.2611 4.5028 1.2321
6.5071 11.8932 6.1189
6.5430 1.1116 21.3136
6.6052 15.0370 8.5774
6.5903 6.4694 13.6206
6.5962 6.9656 7.4413
6.6611 1.4502 14.9092
6.7158 6.7369 22.6692
6.7162 9.9770 13.7279
6.7361 15.3776 6.0812
6.7337 9.6637 16.2440
6.7573 15.1360 15.1227
6.8133 12.2560 22.3480
6.8530 9.7452 22.6163
6.8235 1.1803 7.5284
6.8689 12.0121 15.1311
6.8412 4.4541 7.5363
6.8592 4.5516 21.5171
6.8867 11.9397 8.6243
6.8685 0.8374 1.0785
6.9854 15.0148 22.3792
6.9666 9.7107 7.4042
6.9678 6.5584 16.1265
7.0848 4.3623 14.9375
8.2276 15.1291 11.1629
8.2278 9.6934 18.7597
8.2907 4.4106 3.7752
8.3464 1.1192 12.4006
8.4222 11.9021 19.9336
8.4498 9.7748 11.2831
8.4645 12.0176 3.7251
8.5003 6.6401 4.9153
8.5253 1.2700 18.9149
8.5414 9.6751 4.8036
8.5549 4.6014 9.9369
8.5833 12.2844 11.0260
8.5958 15.4623 17.4672
8.5872 6.6326 11.3463
8.6177 10.0063 2.2943
8.6398 15.0781 3.7454
8.6642 4.3143 18.8958
8.7048 6.8914 18.7607
8.6925 1.4336 3.7739
8.7084 1.0504 9.8748
8.7139 6.5104 2.3824
8.7384 4.2905 12.4535
8.7756 15.1295 19.9696
8.7703 11.7990 17.4256
9.2234 2.5008 14.9796
9.2987 13.4936 22.3721
9.3006 7.9178 7.4259
```